A plane-wave DFT calculation with GGA-PBE was carried out for an optimized crystal structure of KBaLaSeO6.

Cell: 8.4094 8.4121 8.4251 Å, 90.00 90.00 90.00°
Closest atoms and distances in Å follow each position.
Space group Pnnn (No. 48, origin choice 2)
Unique sites:
1 K 0.2500 0.2500 0.2500 [2 per cell]  12 O 2.93-3.07
2 K 0.2500 0.2500 0.7500 [2 per cell]  12 O 2.90-3.10
3 Ba 0.2500 0.7500 0.2500 [2 per cell]  12 O 2.88-3.04
4 Ba 0.2500 0.7500 0.7500 [2 per cell]  12 O 2.96-2.99
5 La 0.0000 0.0000 0.0000 [4 per cell]  6 O 2.36-2.37
6 Se 0.0000 0.0000 0.5000 [4 per cell]  6 O 1.85
7 O 0.0023 0.2196 0.4926 [8 per cell]  1 Se 1.85
8 O 0.0073 0.0072 0.7190 [8 per cell]  1 Se 1.85
9 O 0.2197 0.5115 0.0067 [8 per cell]  1 Se 1.85

Properties
The calculation puts the total magnetization at 0.00 Bohr magnetons per cell.

---

A plane-wave DFT calculation with GGA-PBE was carried out for an optimized crystal structure of U3Tl2I4O20.

Cell: 7.0912 8.2263 9.2768 Å, 90.57 105.33 91.69°
Closest atoms and distances in Å follow each position.
Space group P-1 (No. 2)
Unique sites:
1 U 0.0000 0.0000 0.0000 [1 per cell]  2 O 1.83
2 U 0.4485 0.0777 0.8063 [2 per cell]  2 O 1.84
3 Tl 0.2487 0.5896 0.8445 [2 per cell]  7 O 2.81-3.11
4 I 0.1235 0.7976 0.3771 [2 per cell]  3 O 1.81-1.89
5 I 0.2963 0.3513 0.4419 [2 per cell]  3 O 1.83-1.85
6 O 0.0437 0.2879 0.4422 [2 per cell]  1 I 1.85
7 O 0.0482 0.2091 0.0721 [2 per cell]  1 U 1.83
8 O 0.0903 0.6014 0.2825 [2 per cell]  1 I 1.81
9 O 0.1084 0.1033 0.7083 [2 per cell]  1 I 1.84
10 O 0.2273 0.9100 0.2367 [2 per cell]  1 I 1.89
11 O 0.3097 0.9888 0.9872 [2 per cell]  3 U 2.24-2.29
12 O 0.3513 0.5211 0.5772 [2 per cell]  1 I 1.83
13 O 0.4249 0.8701 0.7269 [2 per cell]  1 U 1.84
14 O 0.4305 0.1890 0.5585 [2 per cell]  1 I 1.85
15 O 0.4659 0.2889 0.8761 [2 per cell]  1 U 1.84

Properties
The calculation puts the total magnetization at 0.00 Bohr magnetons per cell.

---

A plane-wave DFT calculation with GGA-PBE was carried out for an optimized crystal structure of Pr5Si2Ge.

Cell: 7.9001 7.9001 14.0879 Å, 90.00 90.00 90.00°
Closest atoms and distances in Å follow each position.
Space group I4/mcm (No. 140)
Unique sites:
1 Pr 0.0000 0.0000 0.0000 [4 per cell]  4 Si 3.18, 2 Ge 3.52
2 Pr 0.1761 0.3239 0.1453 [16 per cell]  3 Si 3.11, 2 Ge 3.27, 1 Pr 3.38
3 Si 0.1148 0.3852 0.5000 [8 per cell]  1 Si 2.57
4 Ge 0.0000 0.0000 0.2500 [4 per cell]  10 Pr 3.27-3.52

Properties
The calculation puts the total magnetization at 3.52 Bohr magnetons per cell.

---

A plane-wave DFT calculation with GGA-PBE was carried out for an optimized crystal structure of Rb2NaGaCl6.

Cell: 10.3578 10.3578 10.3578 Å, 90.00 90.00 90.00°
Closest atoms and distances in Å follow each position.
Space group Fm-3m (No. 225)
Unique sites:
1 Rb 0.2500 0.2500 0.2500 [8 per cell]  12 Cl 3.67
2 Na 0.0000 0.0000 0.0000 [4 per cell]  6 Cl 2.78
3 Ga 0.0000 0.0000 0.5000 [4 per cell]  6 Cl 2.40
4 Cl 0.0000 0.0000 0.2683 [24 per cell]  1 Ga 2.40

Properties
The calculation puts the total magnetization at 0.00 Bohr magnetons per cell.

---

A plane-wave DFT calculation with GGA-PBE was carried out for an optimized crystal structure of ZrS2O15.

Cell: 7.1254 7.6397 12.4276 Å, 83.24 77.34 89.70°
Closest atoms and distances in Å follow each position.
Space group P-1 (No. 2)
Unique sites:
1 Zr 0.0152 0.4558 0.3078 [2 per cell]  5 O 2.00-2.15
2 S 0.0851 0.6802 0.1067 [2 per cell]  4 O 1.44-1.58
3 S 0.2476 0.2785 0.5051 [2 per cell]  4 O 1.43-1.58
4 O 0.0354 0.4783 0.1315 [2 per cell]  1 S 1.56
5 O 0.0785 0.2204 0.9150 [2 per cell]  1 S 1.44
6 O 0.1114 0.7036 0.2275 [2 per cell]  1 S 1.58
7 O 0.1315 0.1230 0.5500 [2 per cell]  1 S 1.44
8 O 0.1559 0.4371 0.5680 [2 per cell]  1 S 1.58
9 O 0.2146 0.3400 0.3855 [2 per cell]  1 S 1.57
10 O 0.2168 0.8919 0.7240 [2 per cell]  1 O 1.24
11 O 0.2192 0.7140 0.6983 [2 per cell]  1 O 1.43
12 O 0.2441 0.1007 0.1010 [2 per cell]  1 O 1.23
13 O 0.2631 0.1667 0.1833 [2 per cell]  1 O 1.23
14 O 0.2633 0.7147 0.0256 [2 per cell]  1 S 1.44
15 O 0.3783 0.9517 0.7237 [2 per cell]  1 O 1.24
16 O 0.4339 0.3694 0.7588 [2 per cell]  1 O 1.22
17 O 0.4498 0.2781 0.5015 [2 per cell]  1 S 1.43
18 O 0.4997 0.4695 0.8116 [2 per cell]  1 O 1.22

Properties
The calculation puts the total magnetization at 8.00 Bohr magnetons per cell.

---

A plane-wave DFT calculation with GGA-PBE was carried out for an optimized crystal structure of MgMn2S4.

Cell: 10.3094 10.3094 10.3094 Å, 90.00 90.00 90.00°
Closest atoms and distances in Å follow each position.
Space group Fd-3m (No. 227, origin choice 2)
Unique sites:
1 Mg 0.1250 0.1250 0.1250 [8 per cell]  4 S 2.45
2 Mn 0.0000 0.0000 0.5000 [16 per cell]  6 S 2.46
3 S 0.0120 0.0120 0.7380 [32 per cell]  1 Mg 2.45, 3 Mn 2.46

Properties
The calculation puts the total magnetization at 64.00 Bohr magnetons per cell.

---

A plane-wave DFT calculation with GGA-PBE was carried out for an optimized crystal structure of K3Ca.

Cell: 6.3241 6.3241 6.3241 Å, 90.00 90.00 90.00°
Closest atoms and distances in Å follow each position.
Space group Pm-3m (No. 221)
Unique sites:
1 K 0.0000 0.0000 0.5000 [3 per cell]  4 Ca 4.47, 8 K 4.47
2 Ca 0.5000 0.5000 0.5000 [1 per cell]  12 K 4.47

Properties
The calculation puts the total magnetization at 0.09 Bohr magnetons per cell.

---

A plane-wave DFT calculation with GGA-PBE was carried out for an optimized crystal structure of CeHfMg6O8.

Cell: 4.4862 4.4862 9.0567 Å, 90.00 90.00 90.00°
Closest atoms and distances in Å follow each position.
Space group P4/mmm (No. 123)
Unique sites:
1 Ce 0.0000 0.0000 0.0000 [1 per cell]  6 O 2.24-2.48
2 Hf 0.5000 0.5000 0.0000 [1 per cell]  6 O 2.24-2.39
3 Mg 0.0000 0.0000 0.5000 [1 per cell]  6 O 2.05-2.24
4 Mg 0.0000 0.5000 0.2705 [4 per cell]  5 O 2.08-2.24
5 Mg 0.5000 0.5000 0.5000 [1 per cell]  6 O 2.14-2.24
6 O 0.0000 0.0000 0.2733 [2 per cell]  5 Mg 2.05-2.24
7 O 0.0000 0.5000 0.0000 [2 per cell]  2 Hf 2.24, 2 Ce 2.24, 2 Mg 2.45
8 O 0.0000 0.5000 0.5000 [2 per cell]  6 Mg 2.08-2.24
9 O 0.5000 0.5000 0.2638 [2 per cell]  5 Mg 2.14-2.24, 1 Hf 2.39

Properties
The calculation puts the total magnetization at 0.75 Bohr magnetons per cell.

---

A plane-wave DFT calculation with GGA-PBE was carried out for an optimized crystal structure of MnAl12Fe.

Cell: 8.7312 7.5211 6.4963 Å, 90.00 90.00 90.00°
Closest atoms and distances in Å follow each position.
Space group Amm2 (No. 38)
Unique sites:
1 Mn 0.0000 0.0000 0.0000 [2 per cell]  10 Al 2.45-2.64
2 Al 0.0000 0.1812 0.6715 [4 per cell]  2 Mn 2.53-2.64, 3 Al 2.73-2.81
3 Al 0.1506 0.0000 0.3177 [4 per cell]  1 Mn 2.45, 2 Al 2.54-2.63
4 Al 0.2520 0.1746 0.9620 [8 per cell]  1 Fe 2.55, 1 Mn 2.57, 8 Al 2.63-2.85
5 Al 0.3491 0.0000 0.6043 [4 per cell]  1 Fe 2.43, 2 Al 2.54-2.63
6 Al 0.5000 0.1814 0.2471 [4 per cell]  2 Fe 2.54-2.64, 3 Al 2.73-2.79
7 Fe 0.5000 0.0000 0.9180 [2 per cell]  10 Al 2.43-2.64

---

A plane-wave DFT calculation with GGA-PBE was carried out for an optimized crystal structure of Ti3Co5B2.

Cell: 8.4375 8.4375 3.0579 Å, 90.00 90.00 90.00°
Closest atoms and distances in Å follow each position.
Space group P4/mbm (No. 127)
Unique sites:
1 Ti 0.0000 0.0000 0.0000 [2 per cell]  8 Co 2.48
2 Ti 0.1747 0.3253 0.0000 [4 per cell]  3 B 2.45-2.53, 10 Co 2.58-2.72
3 Co 0.0000 0.5000 0.5000 [2 per cell]  4 B 2.10
4 Co 0.0708 0.7795 0.5000 [8 per cell]  2 B 2.08
5 B 0.1201 0.6201 0.0000 [4 per cell]  6 Co 2.08-2.10

---

no.,DFT total energy (eV per atom)
1,-6.13
2,-6.50
3,-5.54
4,-3.33
5,-6.01
6,-5.96
7,-1.18
8,-6.48
9,-4.66
10,-7.81